[1]
# Li5CoO4

A relaxed structure of Li5CoO4 (PBE+U, the Materials Project).

Summary:
Piezoelectric modulus e_max: 0.18 C/m2
Polymorph energy (0 for the lowest one): 3 meV per atom
E (MP2020): -5.5652 eV/atom
Crystal system: orthorhombic
Calculated volume: 196.37 Å³ per cell

The structure in extended XYZ format:
```
20
Lattice="4.403 -4.721 0.000 4.403 4.721 0.000 0.000 0.000 4.723" Properties=species:S:1:pos:R:3 pbc="T T T"
Li 4.403 4.553 2.362
Li 2.600 -2.399 4.599
Li 6.207 -2.399 0.124
Li 4.403 -0.168 0.000
Li 6.890 -0.020 4.447
Li 1.917 -0.020 0.276
Li 6.207 2.322 2.238
Li 2.600 2.322 2.486
Li 6.320 -0.020 2.085
Li 2.486 -0.020 2.638
O 1.231 1.191 1.604
O 3.251 3.483 1.059
O 5.635 1.191 0.758
O 7.575 1.191 3.119
O 3.251 -1.238 1.303
O 5.556 -1.238 3.421
O 3.172 1.191 3.966
O 5.556 3.483 3.664
Co 4.403 -2.298 2.362
Co 4.403 2.423 0.000
```

***

[2]
# Li7Co2O6

A relaxed structure of Li7Co2O6 (PBE+U, the Materials Project).

Summary:
Polymorph energy (0 for the lowest one): 0 meV per atom
Total magnetization: 7.0 μB per cell
E (MP2020): -5.6393 eV/atom
Crystal system: triclinic
Calculated volume: 146.19 Å³ per cell

The structure in extended XYZ format:
```
15
Lattice="-5.289 0.000 0.000 0.721 5.304 0.000 -0.265 -2.637 -5.212" Properties=species:S:1:pos:R:3 pbc="T T T"
Li -0.868 0.697 -0.910
Li -4.157 3.108 -4.230
Li -2.137 -0.769 -4.371
Li -0.347 0.853 -4.322
Li -2.019 4.274 -0.311
Li 0.386 3.982 -1.954
Li -4.232 2.063 -0.778
O -0.863 2.721 -0.812
O -4.285 0.001 -0.969
O -0.923 2.705 -4.381
O -1.583 0.217 -2.664
O -3.606 2.386 -2.548
O -4.025 -0.239 -4.211
Co -1.644 2.381 -2.603
Co -3.536 0.415 -2.597
```

***

[3]
# Li8Co5O10

A relaxed structure of Li8Co5O10 (PBE+U, the Materials Project).

Summary:
Polymorph energy (0 for the lowest one): 0 meV per atom
Total magnetization: 13.0 μB per cell
E (MP2020): -6.0747 eV/atom
Crystal system: triclinic
Calculated volume: 254.55 Å³ per cell

The structure in extended XYZ format:
```
23
Lattice="2.157 -3.918 2.957 -6.054 1.835 2.000 -3.251 -4.028 -6.170" Properties=species:S:1:pos:R:3 pbc="T T T"
Li -2.428 -5.321 -2.158
Li -6.915 -2.987 -3.986
Li -5.093 -1.991 -2.697
Li -6.422 -1.845 -0.682
Li -0.348 -3.189 2.948
Li -4.587 -0.793 0.517
Li 0.285 -2.418 0.751
Li -0.885 -4.262 -0.293
O -2.893 -4.160 -0.645
O -3.808 -0.905 2.319
O -7.038 -1.699 -2.541
O -4.479 -2.164 -0.870
O -4.956 -3.285 -4.280
O -0.495 -2.479 -1.101
O -0.018 -4.271 1.425
O -2.179 -2.660 3.323
O -6.504 -3.626 0.155
O -3.380 -5.319 -3.855
Co -1.969 -1.034 2.466
Co -4.690 -3.887 -0.235
Co -2.947 -3.454 -4.360
Co -4.143 -2.664 3.242
Co -2.485 -2.224 -1.060
```

***

[4]
# Li4CoO4

A relaxed structure of Li4CoO4 (PBE+U, the Materials Project).

Summary:
Polymorph energy (0 for the lowest one): 0 meV per atom
Total magnetization: 39.6 μB per cell
E (MP2020): -5.6243 eV/atom
Crystal system: monoclinic
Calculated volume: 786.08 Å³ per cell

The structure in extended XYZ format:
```
72
Lattice="-0.074 -9.109 2.108 1.866 -2.032 -8.717 9.041 0.310 1.657" Properties=species:S:1:pos:R:3 pbc="T T T"
Li 5.626 -5.726 1.174
Li 7.337 -7.069 -5.040
Li 6.577 -4.554 -3.691
Li 2.603 -9.090 -3.188
Li 1.808 -4.122 -2.523
Li 2.722 -7.559 -6.320
Li 4.636 -2.090 -4.642
Li 4.281 -1.802 -2.236
Li 6.420 -4.071 -1.140
Li 4.740 -6.980 -3.738
Li 1.094 -8.173 0.562
Li 3.121 -5.888 0.994
Li 2.082 -2.554 -5.331
Li 6.924 -1.733 -2.244
Li 1.613 -6.447 -1.680
Li 2.150 -6.761 -4.100
Li 4.074 -4.448 -3.933
Li 1.724 -1.369 -0.381
Li 3.827 -3.539 0.059
Li 6.365 -8.206 0.034
Li 9.291 -4.935 -5.694
Li 7.801 -9.662 -5.003
Li 3.644 -8.327 1.394
Li 5.160 -9.555 -5.035
Li 1.233 -3.854 -0.179
Li 3.936 -8.593 -1.038
Li 4.924 -2.924 -6.944
Li 2.565 -5.098 -6.586
Li 7.350 -2.838 -5.802
Li 9.138 -9.048 -2.146
Li 8.339 -6.306 -0.784
Li 8.261 -1.051 0.596
O 6.709 -6.193 2.715
O 4.596 -7.055 0.093
O 8.110 -5.539 -4.239
O 3.675 -6.040 -5.186
O 2.742 -5.003 -0.833
O 9.274 -6.652 1.092
O 5.181 -2.557 -0.794
O 5.386 -9.848 -1.405
O 6.673 -1.734 1.674
O 7.846 -10.207 -3.108
O 1.761 -8.618 -4.895
O 7.172 -5.105 0.254
O 0.302 -0.075 -0.062
O 5.564 -3.819 -5.249
O 7.673 -3.474 -2.508
O 7.563 -7.936 -1.484
O 3.098 -2.857 -3.494
O 2.688 -9.527 0.191
O 1.162 -10.090 -2.337
O 8.945 -4.198 2.674
O 3.694 -1.525 -6.254
O 9.877 -5.318 -1.661
O 6.076 -8.258 -4.068
O 3.988 -9.142 -6.633
O 6.124 -6.549 -6.850
O 5.192 -5.314 -2.542
O 0.870 -2.529 -1.710
O 10.238 -3.814 -4.158
O 2.334 -2.569 1.044
O 6.392 -1.980 -7.819
O 6.985 -0.412 -0.781
O 3.236 -7.396 -2.433
Co 9.005 -4.519 -3.079
Co 1.834 -1.631 -2.930
Co 8.056 -5.526 1.748
Co 6.639 -9.033 -2.525
Co 5.761 -1.191 0.254
Co 5.041 -5.322 -6.182
Co 2.707 -9.975 -5.593
Co 4.093 -6.106 -1.407
```

***

[5]
# Li2CoO3

A relaxed structure of Li2CoO3 (PBE+U, the Materials Project).

Summary:
Total magnetization: 0.2 μB per cell
E (MP2020): -5.8822 eV/atom
Crystal system: trigonal
Calculated volume: 107.80 Å³ per cell

The structure in extended XYZ format:
```
12
Lattice="1.449 -2.509 0.000 1.449 2.509 0.000 0.000 0.000 14.829" Properties=species:S:1:pos:R:3 pbc="T T T"
O 1.449 0.836 8.718
O 1.449 -0.836 6.111
O 1.449 0.836 1.345
O 0.000 0.000 3.453
O 0.000 0.000 11.376
O 1.449 -0.836 13.485
Li 1.449 0.836 5.011
Li 0.000 0.000 0.000
Li 1.449 -0.836 9.818
Li 0.000 0.000 7.415
Co 1.449 0.836 12.394
Co 1.449 -0.836 2.435
```

***

[6]
# Li7Co2O6

A relaxed structure of Li7Co2O6 (PBE+U, the Materials Project).

Summary:
Polymorph energy (0 for the lowest one): 20 meV per atom
Total magnetization: 7.0 μB per cell
E (MP2020): -5.6194 eV/atom
Crystal system: triclinic
Calculated volume: 167.50 Å³ per cell

The structure in extended XYZ format:
```
15
Lattice="3.005 2.997 -3.097 -5.524 0.989 0.155 3.149 2.979 5.470" Properties=species:S:1:pos:R:3 pbc="T T T"
Li 1.234 2.657 -0.590
Li 1.951 3.253 3.070
Li 1.317 4.547 1.100
Li 3.266 5.403 2.664
Li -2.777 1.898 1.571
Li -0.379 4.206 3.540
Li -1.135 2.123 -0.591
O 1.235 5.156 2.982
O 0.249 2.378 3.730
O -1.572 0.754 0.776
O 2.348 2.735 1.105
O -0.275 3.946 0.064
O 3.572 3.982 4.125
Co 3.738 3.678 0.492
Co 0.552 6.821 2.641
```

***

[7]
# LiCo7O8

A relaxed structure of LiCo7O8 (PBE+U, the Materials Project).

Summary:
Total magnetization: 18.0 μB per cell
E (MP2020): -6.9926 eV/atom
Crystal system: cubic
Calculated volume: 153.64 Å³ per cell

The structure in extended XYZ format:
```
16
Lattice="-0.247 -5.748 -1.743 -3.407 -1.573 -4.697 2.586 -1.691 -5.157" Properties=species:S:1:pos:R:3 pbc="T T T"
Co 1.293 -0.845 -2.579
Co 0.000 0.000 0.000
Co -1.703 -0.787 -2.348
Co -0.123 -2.874 -0.872
Co -0.410 -1.632 -4.927
Co 1.170 -3.720 -3.450
Co -1.827 -3.661 -3.220
O -0.679 -3.879 -7.846
O -0.389 -5.133 -3.751
O 0.917 -5.987 -6.355
O -0.800 -6.759 -8.698
O -2.109 -5.928 -6.123
O 1.042 -3.084 -5.475
O -0.267 -2.253 -2.899
O -1.985 -3.025 -5.242
Li -0.534 -4.506 -5.799
```

***

[8]
# LiCo2O4

A relaxed structure of LiCo2O4 (PBE+U, the Materials Project).

Summary:
Polymorph energy (0 for the lowest one): 141 meV per atom
Total magnetization: 14.8 μB per cell
E (MP2020): -6.5040 eV/atom
Crystal system: hexagonal
Calculated volume: 253.54 Å³ per cell

The structure in extended XYZ format:
```
28
Lattice="2.834 -4.909 0.000 2.834 4.909 0.000 0.000 0.000 9.110" Properties=species:S:1:pos:R:3 pbc="T T T"
O 2.834 -3.321 0.940
O 1.376 -0.794 0.940
O 1.592 2.354 3.076
O 4.077 -2.354 7.631
O 1.376 0.794 5.495
O 0.000 0.000 7.367
O 2.834 0.202 3.076
O 2.834 1.636 0.969
O 1.592 -2.354 7.631
O 2.834 -0.202 7.631
O 4.293 -0.794 0.940
O 2.834 -1.636 5.524
O 0.000 0.000 2.812
O 4.077 2.354 3.076
O 4.293 0.794 5.495
O 2.834 3.321 5.495
Co 4.260 0.813 1.918
Co 2.834 -3.283 6.473
Co 4.260 -0.813 6.473
Co 1.409 -0.813 6.473
Co 2.834 1.636 4.399
Co 2.834 3.283 1.918
Co 1.409 0.813 1.918
Co 2.834 -1.636 8.954
Li 0.000 0.000 9.095
Li 0.000 0.000 4.540
Li 2.834 1.636 8.145
Li 2.834 -1.636 3.590
```

***

[9]
# Li2CoO3

A relaxed structure of Li2CoO3 (PBE+U, the Materials Project).

Summary:
Total magnetization: 0.0 μB per cell
E (MP2020): -6.0073 eV/atom
Calculated volume: 210.54 Å³ per cell

The structure in extended XYZ format:
```
24
Lattice="0.378 0.420 4.972 -3.096 -4.986 -0.718 6.813 -2.956 1.750" Properties=species:S:1:pos:R:3 pbc="T T T"
Li 5.616 -4.996 6.293
Li 4.026 -2.802 1.048
Li 4.863 -3.949 3.776
Li -0.739 -3.606 2.299
Li 0.472 -6.221 2.572
Li 2.478 -5.295 0.689
Li 0.808 -1.113 2.658
Li -0.282 -5.174 0.056
O 0.630 -3.014 3.847
O 6.078 -3.157 5.297
O 1.821 -5.651 4.031
O -0.226 -1.890 1.028
O 3.035 -2.975 4.471
O 3.513 -4.518 2.318
O 4.401 -5.788 4.772
O 0.934 -4.382 1.577
O 2.353 -2.027 1.770
O 5.396 -2.209 2.595
O -2.109 -4.200 0.751
O -1.252 -5.323 3.570
Co 3.273 -6.435 3.407
Co 1.226 -2.674 0.404
Co 2.061 -3.734 2.942
Co 4.109 -7.495 5.945
```

***

[10]
# Li3Co4O8

A relaxed structure of Li3Co4O8 (PBE+U, the Materials Project).

Summary:
Polymorph energy (0 for the lowest one): 17 meV per atom
Total magnetization: 2.5 μB per cell
E (MP2020): -6.4871 eV/atom
Crystal system: triclinic
Calculated volume: 280.86 Å³ per cell

The structure in extended XYZ format:
```
30
Lattice="2.842 4.983 0.016 -2.873 -1.611 9.788 5.739 -0.032 -0.008" Properties=species:S:1:pos:R:3 pbc="T T T"
Co 2.848 3.327 2.457
Co 4.296 0.819 2.445
Co 1.411 2.521 7.351
Co 2.860 0.014 7.339
Co -0.010 0.030 7.343
Co 4.281 2.505 7.347
Co 1.427 0.835 2.449
Co 5.717 3.311 2.453
O 4.296 0.784 6.335
O 7.098 4.113 1.371
O 2.850 1.657 1.308
O 2.788 1.786 8.453
O 2.873 -0.076 3.524
O 4.327 4.130 1.393
O 4.336 2.509 3.536
O 5.773 3.225 6.241
O -1.431 -0.812 8.317
O 1.368 2.523 3.521
O 1.411 0.871 6.369
O 5.719 1.715 1.367
O 1.423 -0.756 8.343
O 2.764 3.398 6.330
O 0.058 1.644 8.372
O 0.004 0.013 3.590
Li 5.723 1.660 4.844
Li 7.155 2.496 0.074
Li 4.279 4.126 4.832
Li 4.298 2.499 0.020
Li 1.397 4.155 4.894
Li 2.870 -0.021 0.046
```

***

[11]
# Li4CoO4

A relaxed structure of Li4CoO4 (PBE+U, the Materials Project).

Summary:
Polymorph energy (0 for the lowest one): 8 meV per atom
Total magnetization: 10.0 μB per cell
E (MP2020): -5.6161 eV/atom
Crystal system: monoclinic
Calculated volume: 199.54 Å³ per cell

The structure in extended XYZ format:
```
18
Lattice="6.407 0.000 0.000 0.000 4.858 0.000 0.000 0.084 6.411" Properties=species:S:1:pos:R:3 pbc="T T T"
O 0.000 0.161 3.228
O 1.504 2.141 4.685
O 4.753 2.609 1.664
O 1.654 2.609 1.664
O 0.000 0.493 0.068
O 4.903 2.141 4.685
O 3.204 4.790 0.238
O 3.204 4.629 3.070
Li 4.448 1.228 3.067
Li 4.535 1.315 0.037
Li 4.849 3.721 3.664
Li 1.959 1.228 3.067
Li 0.000 1.522 1.700
Li 1.558 3.721 3.664
Li 1.873 1.315 0.037
Li 0.000 3.854 1.252
Co 0.000 1.208 4.788
Co 3.204 3.625 1.531
```

***

[12]
# LiCo2O4

A relaxed structure of LiCo2O4 (PBE+U, the Materials Project).

Summary:
Polymorph energy (0 for the lowest one): 74 meV per atom
Total magnetization: 4.0 μB per cell
E (MP2020): -6.5708 eV/atom
Crystal system: orthorhombic
Calculated volume: 267.68 Å³ per cell

The structure in extended XYZ format:
```
28
Lattice="-4.424 2.815 -2.309 4.241 -1.895 -3.354 -4.564 -8.138 -1.175" Properties=species:S:1:pos:R:3 pbc="T T T"
O -1.831 -7.668 -2.791
O -1.771 -2.175 -3.205
O -3.743 -6.412 -3.830
O -5.821 0.321 -2.669
O -1.438 -5.295 -3.723
O -2.040 0.341 -2.788
O 2.346 -1.977 -3.306
O 0.149 -0.995 -1.613
O -3.576 -3.868 -4.884
O -3.484 -4.330 -2.038
O 0.058 -0.533 -4.460
O -1.913 -7.256 -5.330
O 0.560 -8.456 -4.301
O -5.768 -2.877 -3.190
O -3.630 -1.381 -1.712
O -3.712 -0.969 -4.251
Li 1.972 -5.926 -3.935
Li -8.963 -5.293 -3.479
Li -0.440 -3.543 -3.470
Li -5.630 -6.032 -3.707
Co -1.744 -1.100 -1.601
Co -3.933 0.283 -2.736
Co -2.571 -5.960 -2.364
Co -3.166 -8.350 -4.163
Co -0.479 -6.903 -4.015
Co -1.834 -0.648 -4.385
Co -2.661 -5.507 -5.148
Co -3.745 -2.726 -3.231
```

***

[13]
# Li3Co4O8

A relaxed structure of Li3Co4O8 (PBE+U, the Materials Project).

Summary:
Polymorph energy (0 for the lowest one): 15 meV per atom
Total magnetization: 2.3 μB per cell
E (MP2020): -6.4892 eV/atom
Crystal system: triclinic
Calculated volume: 279.76 Å³ per cell

The structure in extended XYZ format:
```
30
Lattice="-2.248 -4.766 2.282 3.472 3.396 3.324 -8.985 4.441 -0.062" Properties=species:S:1:pos:R:3 pbc="T T T"
O -3.878 -0.515 2.430
O -6.600 3.327 3.703
O -3.892 3.603 3.102
O -2.260 1.106 3.701
O -1.147 3.634 2.559
O -2.839 2.056 1.220
O -5.010 1.076 4.267
O -7.183 4.180 1.223
O -1.126 -0.393 1.820
O -6.670 -0.448 2.989
O -2.244 -2.676 2.956
O -5.547 1.978 1.850
O -8.246 1.738 2.328
O -5.471 5.748 2.531
O 0.609 1.280 3.311
O -0.586 -1.120 4.344
Co 1.734 1.690 1.686
Co -5.011 -0.834 3.905
Co 0.598 -0.692 2.809
Co -1.067 1.608 2.209
Co -2.228 -0.786 3.350
Co -6.659 1.458 3.321
Co -3.886 1.545 2.753
Co -5.537 3.859 2.196
Li -0.426 0.917 5.018
Li -2.733 -0.151 0.570
Li -7.316 2.153 0.532
Li -8.466 -0.205 1.677
Li -3.228 0.817 5.538
Li -1.210 -2.329 1.173
```